VASP calculation (PBE with a Hubbard U) on a relaxed Mn2Nb4Zn3O16 crystal.

a = 5.1907 Å, b = 11.8897 Å, c = 10.4424 Å
α = 111.41°, β = 90.56°, γ = 88.52°
With the nearest neighbours (Å) after each atom.
Element x y z (fractional)
Zn (0.2798, 0.5597, 0.5646)  4 O 1.98-2.02
O (0.5815, 0.8617, 0.6515)  2 Nb 2.01-2.12, 1 Zn 2.05
Mn (0.2422, 0.1748, 0.0028)  4 O 1.95-1.99
Zn (0.2799, 0.0598, 0.5646)  4 O 1.98-2.02
Zn (0.2234, 0.2876, 0.4445)  4 O 1.96-2.17
O (0.1443, 0.2271, 0.6127)  3 Zn 1.98-2.17, 1 Nb 2.02
O (0.9203, 0.1639, 0.8950)  2 Mn 1.99-2.00, 1 Nb 2.04
O (0.5815, 0.3616, 0.6514)  2 Nb 2.01-2.12, 1 Zn 2.05
O (0.9409, 0.4112, 0.8639)  1 Nb 1.89
Zn (0.7673, 0.7034, 0.5343)  4 O 2.01-2.10
O (0.8595, 0.7697, 0.3814)  1 Nb 1.91, 2 Zn 1.99-2.09
O (0.4403, 0.7893, 0.8898)  1 Nb 1.88, 1 Mn 1.98
O (0.0696, 0.5856, 0.1326)  1 Nb 1.91
O (0.5845, 0.4667, 0.1352)  1 Mn 1.95, 2 Nb 2.10-2.15
O (0.0697, 0.0856, 0.1326)  1 Nb 1.91
Nb (0.2683, 0.8637, 0.7808)  4 O 1.88-2.06
Nb (0.7607, 0.0178, 0.7481)  4 O 1.89-2.04
O (0.1443, 0.7271, 0.6127)  3 Zn 1.98-2.17, 1 Nb 2.02
O (0.0774, 0.3335, 0.1110)  2 Mn 1.98-1.99, 1 Nb 2.02
O (0.6378, 0.5997, 0.6339)  1 Nb 1.89, 2 Zn 1.99-2.01
O (0.9409, 0.9112, 0.8639)  1 Nb 1.89
Nb (0.2402, 0.9786, 0.2528)  4 O 1.89-2.08
Nb (0.7606, 0.5178, 0.7481)  4 O 1.89-2.04
Nb (0.7454, 0.1388, 0.2230)  5 O 1.91-2.14
O (0.5533, 0.7135, 0.1141)  1 Nb 1.93, 1 Mn 1.94
O (0.3497, 0.9168, 0.3888)  1 Nb 1.90, 2 Zn 1.96-2.02
Nb (0.2402, 0.4787, 0.2528)  4 O 1.89-2.08
O (0.0835, 0.9648, 0.6505)  1 Nb 1.94, 1 Zn 1.98
O (0.9204, 0.6638, 0.8949)  2 Mn 1.99-2.00, 1 Nb 2.04
O (0.4403, 0.2893, 0.8898)  1 Nb 1.88, 1 Mn 1.98
O (0.9357, 0.5449, 0.3519)  1 Nb 1.89
Zn (0.7673, 0.2034, 0.5343)  4 O 2.01-2.10
Zn (0.2233, 0.7877, 0.4446)  4 O 1.96-2.17
O (0.4341, 0.1381, 0.3548)  1 Zn 1.98, 2 Nb 2.08-2.14
O (0.5534, 0.2134, 0.1143)  1 Nb 1.93, 1 Mn 1.95
O (0.9357, 0.0448, 0.3518)  1 Nb 1.89
Nb (0.7452, 0.6389, 0.2229)  5 O 1.91-2.14
O (0.0835, 0.4648, 0.6505)  1 Nb 1.94, 1 Zn 1.98
O (0.3497, 0.4168, 0.3889)  1 Nb 1.90, 2 Zn 1.96-2.02
O (0.0773, 0.8335, 0.1110)  2 Mn 1.98-1.99, 1 Nb 2.02
Mn (0.2421, 0.6747, 0.0029)  4 O 1.94-1.99
Mn (0.7538, 0.8227, 0.0058)  4 O 1.95-2.00
O (0.6378, 0.0997, 0.6339)  1 Nb 1.89, 2 Zn 1.99-2.01
O (0.8595, 0.2697, 0.3814)  1 Nb 1.91, 2 Zn 1.99-2.09
Nb (0.2682, 0.3637, 0.7808)  4 O 1.88-2.06
O (0.5846, 0.9667, 0.1352)  1 Mn 1.95, 2 Nb 2.10-2.15
Mn (0.7538, 0.3226, 0.0060)  4 O 1.95-2.00
O (0.4221, 0.5329, 0.8678)  1 Mn 1.98, 2 Nb 2.06-2.13
O (0.4340, 0.6381, 0.3548)  1 Zn 1.98, 2 Nb 2.08-2.14
O (0.4221, 0.0329, 0.8678)  1 Mn 1.98, 2 Nb 2.06-2.13

The total moment comes out at 0.00 μB/f.u. Its formation energy is -2.494 eV per atom. Its energy with MP2020 corrections is -8.161 eV/atom.

=====

VASP calculation (PBE with a Hubbard U) on a relaxed Li2MnP2O7 crystal.

a = 8.1995 Å, b = 8.1995 Å, c = 9.0211 Å
α = 113.53°, β = 113.53°, γ = 35.72°
With the nearest neighbours (Å) after each atom.
Element x y z (fractional)
Li (0.0495, 0.3323, 0.0529)  4 O 1.93-2.01
Li (0.3323, 0.0495, 0.5529)  4 O 1.93-2.01
Li (0.6677, 0.9504, 0.4471)  4 O 1.93-2.01
Li (0.9505, 0.6677, 0.9471)  4 O 1.93-2.01
Mn (0.0000, 0.0000, 0.0000)  4 O 2.08
Mn (0.0000, 0.0000, 0.5000)  4 O 2.08
P (0.2655, 0.5271, 0.6854)  4 O 1.51-1.66
P (0.4729, 0.7345, 0.8146)  4 O 1.51-1.66
P (0.5271, 0.2655, 0.1854)  4 O 1.51-1.66
P (0.7345, 0.4729, 0.3146)  4 O 1.51-1.66
O (0.0549, 0.7380, 0.5617)  1 P 1.54
O (0.1297, 0.6549, 0.8366)  1 P 1.54
O (0.2374, 0.4104, 0.1134)  1 P 1.51
O (0.2620, 0.9451, 0.9383)  1 P 1.54
O (0.3451, 0.8703, 0.6634)  1 P 1.54
O (0.4104, 0.2374, 0.6134)  1 P 1.51
O (0.4792, 0.5208, 0.2500)  2 P 1.66
O (0.5208, 0.4792, 0.7500)  2 P 1.66
O (0.5896, 0.7626, 0.3866)  1 P 1.51
O (0.6549, 0.1297, 0.3366)  1 P 1.54
O (0.7380, 0.0549, 0.0617)  1 P 1.54
O (0.7626, 0.5896, 0.8866)  1 P 1.51
O (0.8703, 0.3451, 0.1634)  1 P 1.54
O (0.9451, 0.2620, 0.4383)  1 P 1.54

As for the space group: C2/c. The total moment comes out at 5.00 μB/f.u. The calculation puts the relative energy among the computed polymorphs at 0.0240 eV per atom. Its formation energy is -2.648 eV per atom. Its energy with MP2020 corrections is -7.518 eV/atom.

=====

VASP calculation (PBE with a Hubbard U) on a relaxed Li2V2CoO6 crystal.

a = 5.1451 Å, b = 5.1451 Å, c = 10.3199 Å
α = 90.00°, β = 90.00°, γ = 59.08°
With the nearest neighbours (Å) after each atom.
Element x y z (fractional)
Li (0.1631, 0.3369, 0.2500)  4 O 2.00-2.07
Li (0.3369, 0.1631, 0.7500)  4 O 2.00-2.07
Li (0.6631, 0.8369, 0.2500)  4 O 2.00-2.07
Li (0.8369, 0.6631, 0.7500)  4 O 2.00-2.07
V (0.1629, 0.1629, 0.0000)  6 O 1.94-2.00
V (0.3371, 0.3371, 0.5000)  6 O 1.94-2.00
V (0.6629, 0.6629, 0.5000)  6 O 1.94-2.00
V (0.8371, 0.8371, 0.0000)  6 O 1.94-2.00
Co (0.0000, 0.0000, 0.5000)  6 O 1.97-2.17
Co (0.5000, 0.5000, 0.0000)  6 O 1.97-2.17
O (0.0103, 0.3568, 0.6072)  2 V 1.97-2.00, 2 Li 2.00-2.07, 1 Co 2.17
O (0.1432, 0.4897, 0.8928)  2 V 1.97-2.00, 2 Li 2.00-2.07, 1 Co 2.17
O (0.1619, 0.8381, 0.0945)  2 V 1.94, 1 Co 1.97
O (0.3381, 0.6619, 0.5945)  2 V 1.94, 1 Co 1.97
O (0.3568, 0.0103, 0.3928)  2 V 1.97-2.00, 2 Li 2.00-2.07, 1 Co 2.17
O (0.4897, 0.1432, 0.1072)  2 V 1.97-2.00, 2 Li 2.00-2.07, 1 Co 2.17
O (0.5103, 0.8568, 0.8928)  2 V 1.97-2.00, 2 Li 2.00-2.07, 1 Co 2.17
O (0.6432, 0.9897, 0.6072)  2 V 1.97-2.00, 2 Li 2.00-2.07, 1 Co 2.17
O (0.6619, 0.3381, 0.4055)  2 V 1.94, 1 Co 1.97
O (0.8381, 0.1619, 0.9055)  2 V 1.94, 1 Co 1.97
O (0.8568, 0.5103, 0.1072)  2 V 1.97-2.00, 2 Li 2.00-2.07, 1 Co 2.17
O (0.9897, 0.6432, 0.3928)  2 V 1.97-2.00, 2 Li 2.00-2.07, 1 Co 2.17

As for the space group: Cmce. The total moment comes out at 5.00 μB/f.u. Its formation energy is -2.182 eV per atom. Its energy with MP2020 corrections is -7.526 eV/atom.

=====

VASP calculation (PBE with a Hubbard U) on a relaxed Mo3As2O15 crystal.

a = 7.5967 Å, b = 7.5967 Å, c = 13.1315 Å
α = 114.56°, β = 114.56°, γ = 61.66°
With the nearest neighbours (Å) after each atom.
Element x y z (fractional)
Mo (0.0239, 0.9761, 0.5000)  2 O 1.71-1.81
Mo (0.3127, 0.3667, 0.1407)  2 O 1.71-1.79
Mo (0.3667, 0.3127, 0.6407)  2 O 1.71-1.79
Mo (0.6304, 0.7175, 0.8180)  2 O 1.70-1.83
Mo (0.7175, 0.6304, 0.3180)  2 O 1.70-1.83
Mo (0.9761, 0.0239, 0.0000)  2 O 1.71-1.81
As (0.1649, 0.8955, 0.2630)  4 O 1.69-1.75
As (0.5416, 0.8254, 0.0804)  4 O 1.69-1.75
As (0.8254, 0.5416, 0.5804)  4 O 1.69-1.75
As (0.8955, 0.1649, 0.7630)  4 O 1.69-1.75
O (0.0119, 0.9965, 0.6528)  1 As 1.72
O (0.0381, 0.0414, 0.3708)  1 As 1.72
O (0.0414, 0.0381, 0.8708)  1 As 1.72
O (0.0725, 0.5542, 0.6343)  1 As 1.75
O (0.1300, 0.2503, 0.1038)  1 Mo 1.79
O (0.1517, 0.6491, 0.2167)  1 As 1.75, 1 Mo 1.96
O (0.2309, 0.7464, 0.4916)  1 Mo 1.71
O (0.2503, 0.1300, 0.6038)  1 Mo 1.79
O (0.2667, 0.4789, 0.8040)  1 Mo 2.23, 2 O 2.24-2.46
O (0.2992, 0.3843, 0.0121)  1 Mo 1.71
O (0.2992, 0.8230, 0.0355)  1 As 1.69
O (0.3843, 0.2992, 0.5121)  1 Mo 1.71
O (0.4083, 0.8910, 0.3029)  1 As 1.69
O (0.4539, 0.9654, 0.8341)  1 Mo 1.70
O (0.4594, 0.5687, 0.7335)  1 Mo 1.83
O (0.4789, 0.2667, 0.3040)  1 Mo 2.23, 2 O 2.24-2.46
O (0.5542, 0.0725, 0.1343)  1 As 1.75
O (0.5687, 0.4594, 0.2335)  1 Mo 1.83
O (0.6491, 0.1517, 0.7167)  1 As 1.75, 1 Mo 1.96
O (0.6639, 0.6895, 0.9702)  1 As 1.73
O (0.6895, 0.6639, 0.4702)  1 As 1.73
O (0.6887, 0.7112, 0.6817)  1 As 1.72
O (0.7112, 0.6887, 0.1817)  1 As 1.72
O (0.7464, 0.2309, 0.9916)  1 Mo 1.71
O (0.8097, 0.8869, 0.4136)  1 Mo 1.81
O (0.8230, 0.2992, 0.5355)  1 As 1.69
O (0.8869, 0.8097, 0.9136)  1 Mo 1.81
O (0.8910, 0.4083, 0.8029)  1 As 1.69
O (0.9654, 0.4539, 0.3341)  1 Mo 1.70
O (0.9965, 0.0119, 0.1528)  1 As 1.72

As for the space group: Cc. The total moment comes out at 2.00 μB/f.u. Its formation energy is -1.604 eV per atom. Its energy with MP2020 corrections is -7.407 eV/atom.